(1)
This record from Materials Project describes a relaxed structure of MnPd3. The functional is r2SCAN.

Unit cell a=5.538 b=5.538 c=4.504 alpha=90.00 beta=90.00 gamma=120.00
Element x y z (fractional)
Mn (0.667, 0.333, 0.250)
Pd (0.665, 0.833, 0.250)
Pd (0.167, 0.335, 0.250)
Pd (0.335, 0.167, 0.750)
Pd (0.167, 0.833, 0.250)
Mn (0.333, 0.667, 0.750)
Pd (0.833, 0.167, 0.750)
Pd (0.833, 0.665, 0.750)

Calculated values
* spin magnetization: 4.9 μB per formula unit
* energy: -170.15 eV for the cell shown
* SG: P6_3/mmc, No. 194

(2)
This record from Materials Project describes a relaxed structure of ScRe2. The functional is r2SCAN.

Unit cell a=5.280 b=5.280 c=8.575 alpha=90.00 beta=90.00 gamma=120.00
Element x y z (fractional)
Re (0.172, 0.828, 0.750)
Re (0.657, 0.828, 0.750)
Re (0.172, 0.343, 0.750)
Sc (0.333, 0.667, 0.437)
Re (0.828, 0.657, 0.250)
Re (0.000, 0.000, 0.000)
Sc (0.667, 0.333, 0.937)
Re (0.343, 0.172, 0.250)
Re (0.828, 0.172, 0.250)
Sc (0.667, 0.333, 0.563)
Sc (0.333, 0.667, 0.063)
Re (0.000, 0.000, 0.500)

Calculated values
* spin magnetization: 0.0 μB per formula unit
* energy: -469.55 eV for the cell shown
* SG: P6_3/mmc, No. 194

(3)
This record from Materials Project describes a relaxed structure of Rb2NaScCl6. The functional is r2SCAN.

Unit cell a=7.341 b=7.341 c=7.341 alpha=60.00 beta=60.00 gamma=60.00
Element x y z (fractional)
Na (0.500, 0.500, 0.500)
Cl (0.761, 0.239, 0.761)
Cl (0.239, 0.761, 0.761)
Rb (0.750, 0.750, 0.750)
Cl (0.761, 0.239, 0.239)
Sc (0.000, 0.000, 0.000)
Cl (0.239, 0.761, 0.239)
Rb (0.250, 0.250, 0.250)
Cl (0.761, 0.761, 0.239)
Cl (0.239, 0.239, 0.761)

Calculated values
* spin magnetization: 0.0 μB per formula unit
* energy: -102.53 eV for the cell shown
* SG: Fm-3m, No. 225

(4)
This record from Materials Project describes a relaxed structure of ClF3. The functional is r2SCAN.

Unit cell a=4.397 b=6.052 c=8.573 alpha=90.00 beta=90.00 gamma=90.00
Element x y z (fractional)
F (0.369, 0.964, 0.153)
Cl (0.115, 0.250, 0.660)
F (0.369, 0.536, 0.153)
F (0.869, 0.036, 0.347)
F (0.597, 0.750, 0.456)
Cl (0.615, 0.750, 0.840)
F (0.403, 0.250, 0.544)
F (0.869, 0.464, 0.347)
F (0.903, 0.750, 0.956)
F (0.097, 0.250, 0.044)
Cl (0.885, 0.750, 0.340)
F (0.131, 0.964, 0.653)
F (0.631, 0.464, 0.847)
F (0.631, 0.036, 0.847)
Cl (0.385, 0.250, 0.160)
F (0.131, 0.536, 0.653)

Calculated values
* spin magnetization: 0.0 μB per formula unit
* energy: -71.97 eV for the cell shown
* SG: Pnma, No. 62

(5)
This record from Materials Project describes a relaxed structure of RbNd2CuS4. The functional is r2SCAN.

Unit cell a=7.348 b=7.348 c=14.034 alpha=90.00 beta=90.00 gamma=147.71
Element x y z (fractional)
S (0.000, 0.000, 0.500)
S (0.424, 0.576, 0.250)
S (0.260, 0.740, 0.886)
Rb (0.106, 0.894, 0.250)
S (0.740, 0.260, 0.114)
Rb (0.894, 0.106, 0.750)
S (0.576, 0.424, 0.750)
Nd (0.365, 0.635, 0.439)
Nd (0.365, 0.635, 0.061)
S (0.740, 0.260, 0.386)
Nd (0.635, 0.365, 0.939)
Cu (0.835, 0.165, 0.250)
Nd (0.635, 0.365, 0.561)
S (0.260, 0.740, 0.614)
S (0.000, 0.000, 0.000)
Cu (0.165, 0.835, 0.750)

Calculated values
* spin magnetization: 0.0 μB per formula unit
* energy: -261.49 eV for the cell shown
* SG: Cmcm, No. 63

(6)
This record from Materials Project describes a relaxed structure of Ca3Cd2. The functional is r2SCAN.

Unit cell a=8.071 b=8.795 c=8.795 alpha=90.00 beta=90.00 gamma=90.00
Element x y z (fractional)
Cd (0.449, 0.376, 0.376)
Cd (0.563, 0.876, 0.124)
Cd (0.949, 0.124, 0.876)
Cd (0.449, 0.624, 0.624)
Cd (0.063, 0.376, 0.376)
Ca (0.756, 0.199, 0.199)
Ca (0.256, 0.301, 0.699)
Ca (0.256, 0.855, 0.855)
Ca (0.756, 0.645, 0.355)
Ca (0.756, 0.801, 0.801)
Ca (0.756, 0.355, 0.645)
Ca (0.506, 0.000, 0.500)
Ca (0.006, 0.500, 0.000)
Cd (0.563, 0.124, 0.876)
Ca (0.006, 0.000, 0.500)
Ca (0.256, 0.699, 0.301)
Cd (0.949, 0.876, 0.124)
Ca (0.506, 0.500, 0.000)
Cd (0.063, 0.624, 0.624)
Ca (0.256, 0.145, 0.145)

Calculated values
* spin magnetization: 0.0 μB per formula unit
* energy: -251.50 eV for the cell shown
* SG: P4_2/mnm, No. 136

no.,energy relative to the elements (meV per atom)
1,-378.0
2,-389.3
3,-2278.9
4,-615.3
5,-1874.6
6,-309.9